Computed, not measured: crystalline Ti7Sn3O20 at its relaxed geometry at the PBE-GGA level of DFT.

a = 4.707 Å, b = 4.707 Å, c = 15.285 Å
α = 90.00°, β = 90.00°, γ = 90.01°
Positions (direct):
Ti 0.000 0.000 0.000
Ti 0.000 0.000 0.401
Ti 0.000 0.000 0.599
Ti 0.500 0.500 0.097
Ti 0.500 0.500 0.298
Ti 0.500 0.500 0.702
Ti 0.500 0.500 0.903
Sn 0.000 0.000 0.200
Sn 0.000 0.000 0.800
Sn 0.500 0.500 0.500
O 0.187 0.813 0.500
O 0.199 0.801 0.095
O 0.199 0.801 0.905
O 0.201 0.799 0.304
O 0.201 0.799 0.696
O 0.300 0.300 0.395
O 0.300 0.300 0.605
O 0.306 0.306 0.000
O 0.313 0.313 0.199
O 0.313 0.313 0.801
O 0.687 0.687 0.199
O 0.687 0.687 0.801
O 0.694 0.694 0.000
O 0.700 0.700 0.395
O 0.700 0.700 0.605
O 0.799 0.201 0.304
O 0.799 0.201 0.696
O 0.801 0.199 0.095
O 0.801 0.199 0.905
O 0.813 0.187 0.500

## Properties
Space-group type ... Cmmm, No. 65
Formation enthalpy at 0 K ... -3.03 eV/atom
M_tot ... 0.000 μB/atom